Entry 1:
14
Lattice="-4.2534 4.2534 4.2891 4.2534 -4.2534 4.2891 4.2534 4.2534 -4.2891" Properties=species:S:1:pos:R:3 comment="PBE-GGA Ce2SmS4, optimized geometry" sg="I-42d (122)" formation_energy_mev_per_atom=-2308 m_tot_mub_per_cell=5.8 final_energy_ev_per_fu=-47.277 pbc="T T T"
Ce 2.1267 1.0712 -1.0723
Ce 3.1822 -2.1267 5.3614
Ce 2.1267 3.1822 3.2168
Ce 1.0712 6.3802 1.0723
Sm 4.2534 0.0000 2.1445
Sm 0.0000 0.0000 4.2891
S 2.7588 3.6173 -2.5481
S 4.8896 1.4946 -0.4035
S 1.4946 0.6361 1.7410
S 1.4946 3.6173 0.4035
S 4.8896 2.7588 2.5481
S 2.7588 0.6361 4.6926
S -0.6361 2.7588 3.8855
S -0.6361 1.4946 6.8372


Entry 2:
14
Lattice="-4.3450 4.3450 4.3490 4.3450 -4.3450 4.3490 4.3450 4.3450 -4.3490" Properties=species:S:1:pos:R:3 comment="PBE-GGA SrCe2S4, optimized geometry" sg="I-42d (122)" formation_energy_mev_per_atom=-2323 m_tot_mub_per_cell=4.0 final_energy_ev_per_fu=-44.348 pbc="T T T"
Sr 0.0000 0.0000 0.0000
Sr 0.0000 4.3450 2.1745
Ce 2.1725 3.2514 -1.0873
Ce 5.4385 2.1725 1.0873
Ce 2.1725 1.0935 3.2618
Ce -1.0935 2.1725 5.4363
S 2.8449 0.6618 0.5061
S 5.0068 2.8449 -1.6684
S 3.6832 -1.5000 3.8429
S -0.6618 1.5000 2.6806
S 0.6618 5.8450 -0.5061
S 2.8449 3.6832 1.6684
S 1.5000 0.6618 6.0175
S 1.5000 3.6832 4.8552


Entry 3:
6
Lattice="4.0799 0.0000 0.0000 -2.0400 3.5333 0.0000 0.0000 0.0000 9.7137" Properties=species:S:1:pos:R:3 comment="PBE-GGA CeTh2S3, optimized geometry" sg="P-3m1 (164)" formation_energy_mev_per_atom=-2171 final_energy_ev_per_fu=-44.685 pbc="T T T"
Ce 0.0000 0.0000 0.0000
Th 0.0000 2.3555 6.4771
Th 2.0400 1.1778 3.2366
S 0.0000 0.0000 4.8568
S 0.0000 2.3555 1.5961
S 2.0400 1.1778 8.1175


Entry 4:
32
Lattice="11.9118 0.0000 0.0000 0.0000 7.4350 0.0000 0.0000 0.0000 8.0345" Properties=species:S:1:pos:R:3 comment="PBE-GGA CeThUS5, optimized geometry" sg="Pna2_1 (33)" formation_energy_mev_per_atom=-2123 m_tot_mub_per_cell=14.5 final_energy_ev_per_fu=-59.787 pbc="T T T"
Ce 2.1175 0.2298 0.0000
Ce 3.8384 3.9473 4.0173
Ce 8.0734 3.4876 0.0000
Ce 9.7943 7.2051 4.0173
Th 2.1275 0.1884 4.0304
Th 3.8284 3.9059 0.0131
Th 8.0834 3.5291 4.0304
Th 9.7842 7.2466 0.0131
U 0.0686 4.2474 6.0320
U 5.8873 0.5299 2.0147
U 6.0244 6.9051 6.0320
U 11.8432 3.1876 2.0147
S 11.9090 0.3018 2.0207
S 0.0028 7.1332 6.0379
S 1.1370 4.9727 3.6850
S 1.1772 4.9312 0.3388
S 2.2506 2.4799 6.0254
S 2.5775 2.2702 2.0253
S 3.3784 5.9877 6.0425
S 3.7053 6.1974 2.0081
S 4.7787 1.2138 4.3561
S 4.8189 1.2552 7.7023
S 5.9531 3.4157 2.0207
S 5.9587 4.0193 6.0379
S 7.0929 6.1797 3.6850
S 7.1331 6.2212 0.3388
S 8.2065 1.2376 6.0254
S 8.5334 1.4473 2.0253
S 9.3342 5.1648 6.0425
S 9.6612 4.9550 2.0081
S 10.7346 2.5037 4.3561
S 10.7748 2.4622 7.7023


Entry 5:
37
Lattice="19.4970 -1.9658 0.0000 19.4970 1.9658 0.0000 -0.2755 0.0000 11.3120" Properties=species:S:1:pos:R:3 comment="PBE-GGA Ce4Tm11S22, optimized geometry" sg="C2/m (12)" formation_energy_mev_per_atom=-2336 m_tot_mub_per_cell=4.7 final_energy_ev_per_fu=-239.324 pbc="T T T"
Ce 4.0508 0.0000 0.1350
Ce 14.2261 0.0000 3.9307
Ce 24.4924 0.0000 7.3813
Ce 34.6677 0.0000 11.1769
Tm 0.0000 0.0000 0.0000
Tm 2.6113 0.0000 4.0698
Tm 7.6131 0.0000 10.6536
Tm 10.2022 0.0000 3.9821
Tm 13.1587 0.0000 7.8937
Tm 17.9310 0.0000 3.0662
Tm 20.7875 0.0000 8.2457
Tm 25.5598 0.0000 3.4183
Tm 28.5163 0.0000 7.3299
Tm 31.1053 0.0000 0.6584
Tm 36.1072 0.0000 7.2422
S 0.2406 0.0000 2.7099
S 3.2089 0.0000 8.5016
S 5.1317 0.0000 5.1378
S 6.5214 0.0000 1.7108
S 7.1632 0.0000 7.8293
S 9.9166 0.0000 1.3502
S 10.7542 0.0000 6.6766
S 13.6661 0.0000 1.0342
S 15.6548 0.0000 8.9206
S 17.2482 0.0000 5.6049
S 17.6482 0.0000 0.3566
S 21.0703 0.0000 10.9554
S 21.4703 0.0000 5.7071
S 23.0637 0.0000 2.3913
S 25.0524 0.0000 10.2778
S 27.9643 0.0000 4.6354
S 28.8019 0.0000 9.9618
S 31.5553 0.0000 3.4827
S 32.1971 0.0000 9.6011
S 33.5868 0.0000 6.1741
S 35.5096 0.0000 2.8104
S 38.4778 0.0000 8.6021


Entry 6:
40
Lattice="10.9544 0.0000 0.0000 0.0000 3.9273 0.0000 -4.3034 0.0000 21.0234" Properties=species:S:1:pos:R:3 comment="PBE-GGA CeTmS3, optimized geometry" sg="P2_1/m (11)" formation_energy_mev_per_atom=-2373 e_above_lowest_polymorph_ev_per_atom=0.000 final_energy_ev_per_fu=-33.174 pbc="T T T"
Ce -0.5551 0.9818 7.6405
Ce 2.0335 0.9818 0.7967
Ce 0.1758 2.9455 15.4240
Ce 2.3597 0.9818 4.8828
Ce 4.2913 2.9455 16.1406
Ce 6.4752 0.9818 5.5994
Ce 4.6175 2.9455 20.2267
Ce 7.2062 2.9455 13.3829
Tm -3.3397 0.9818 17.9167
Tm -0.4026 0.9818 11.4872
Tm 0.9381 0.9818 19.2942
Tm 3.4593 2.9455 8.6568
Tm 3.1917 0.9818 12.3666
Tm 5.7129 2.9455 1.7292
Tm 7.0536 2.9455 9.5361
Tm 9.9907 2.9455 3.1067
S -0.5689 0.9818 4.8241
S -3.4296 2.9455 19.8540
S -1.0505 2.9455 9.7183
S -1.4918 0.9818 13.9666
S 1.6792 2.9455 2.8424
S 1.3605 2.9455 6.8375
S -0.7551 0.9818 17.3022
S 1.1714 2.9455 12.6056
S -0.3587 2.9455 20.7211
S 1.9772 0.9818 9.7592
S 4.3774 0.9818 2.8221
S 2.3085 0.9818 15.1768
S 4.3425 2.9455 5.8466
S 2.2736 2.9455 18.2012
S 4.6738 2.9455 11.2641
S 7.0097 0.9818 0.3023
S 5.4796 0.9818 8.4178
S 7.4061 2.9455 3.7212
S 5.2905 0.9818 14.1859
S 4.9718 0.9818 18.1810
S 8.1428 2.9455 7.0568
S 7.7015 0.9818 11.3051
S 10.0806 0.9818 1.1694
S 7.2199 2.9455 16.1993


Entry 7:
60
Lattice="16.3790 0.0000 0.0000 0.0000 3.9332 0.0000 0.0000 0.0000 21.1054" Properties=species:S:1:pos:R:3 comment="PBE-GGA CeTmS3, optimized geometry" sg="Pnma (62)" formation_energy_mev_per_atom=-2341 e_above_lowest_polymorph_ev_per_atom=0.031 m_tot_mub_per_cell=11.2 final_energy_ev_per_fu=-33.016 pbc="T T T"
Ce 2.6716 0.9833 5.1713
Ce 2.7830 2.9499 12.3939
Ce 3.2077 0.9833 19.4594
Ce 4.9818 2.9499 8.9068
Ce 5.4065 0.9833 1.8412
Ce 5.5179 2.9499 15.7240
Ce 10.8611 0.9833 5.3813
Ce 10.9725 2.9499 19.2642
Ce 11.3972 0.9833 12.1986
Ce 13.1713 2.9499 1.6459
Ce 13.5960 0.9833 8.7115
Ce 13.7074 2.9499 15.9340
Tm 0.9120 2.9499 1.4721
Tm 1.0837 0.9833 8.8767
Tm 1.5637 0.9833 15.8522
Tm 6.6258 2.9499 5.2996
Tm 7.1058 2.9499 19.4294
Tm 7.2775 0.9833 12.0247
Tm 9.1015 2.9499 9.0806
Tm 9.2732 0.9833 1.6760
Tm 9.7532 0.9833 15.8058
Tm 14.8153 2.9499 5.2531
Tm 15.2953 2.9499 12.2287
Tm 15.4670 0.9833 19.6333
S 0.6247 2.9499 14.3861
S 0.7375 0.9833 11.6589
S 0.8828 2.9499 4.1124
S 0.9970 2.9499 19.8616
S 2.4066 2.9499 7.4043
S 2.6170 0.9833 1.3572
S 2.9259 2.9499 17.2403
S 3.4429 0.9833 10.2102
S 3.7635 0.9833 14.3120
S 4.4260 2.9499 3.7593
S 4.7466 2.9499 20.7629
S 5.2636 0.9833 6.6876
S 5.5725 2.9499 11.9099
S 5.7829 0.9833 17.9570
S 7.1925 0.9833 9.3089
S 7.3067 0.9833 14.6651
S 7.4520 2.9499 1.1063
S 7.5648 0.9833 3.8335
S 8.8142 2.9499 17.2719
S 8.9270 0.9833 19.9991
S 9.0723 2.9499 6.4403
S 9.1865 2.9499 11.7964
S 10.5961 2.9499 3.1483
S 10.8065 0.9833 9.1955
S 11.1154 2.9499 14.4178
S 11.6324 0.9833 0.3425
S 11.9530 0.9833 17.3460
S 12.6155 2.9499 6.7934
S 12.9361 2.9499 10.8951
S 13.4531 0.9833 3.8651
S 13.7620 2.9499 19.7482
S 13.9724 0.9833 13.7010
S 15.3820 0.9833 1.2437
S 15.4962 0.9833 16.9930
S 15.6415 2.9499 9.4464
S 15.7543 0.9833 6.7192


Entry 8:
27
Lattice="8.4876 0.0000 0.0000 0.0000 8.4876 0.0000 0.0000 0.0000 8.4670" Properties=species:S:1:pos:R:3 comment="PBE-GGA Ce10US16, optimized geometry" sg="P-4 (81)" formation_energy_mev_per_atom=-2251 m_tot_mub_per_cell=14.0 final_energy_ev_per_fu=-189.535 pbc="T T T"
Ce 0.0000 4.2438 2.0882
Ce 1.0594 2.0767 7.3011
Ce 2.0767 7.4281 1.1659
Ce 2.0839 5.3771 5.2467
Ce 3.1105 2.0839 3.2203
Ce 4.2438 0.0000 6.3788
Ce 5.3771 6.4037 3.2203
Ce 6.4037 3.1105 5.2467
Ce 6.4109 1.0594 1.1659
Ce 7.4281 6.4109 7.3011
U 4.2438 4.2438 0.0000
S 0.6700 1.5405 1.5815
S 0.6663 2.8234 4.6088
S 1.5311 4.8313 8.0276
S 1.5405 7.8176 6.8855
S 2.7854 4.8715 2.5013
S 2.8234 7.8213 3.8582
S 3.6161 2.7854 5.9657
S 3.6562 1.5311 0.4394
S 4.8313 6.9565 0.4394
S 4.8715 5.7022 5.9657
S 5.6641 0.6663 3.8582
S 5.7022 3.6161 2.5013
S 6.9471 0.6700 6.8855
S 6.9565 3.6562 8.0276
S 7.8213 5.6641 4.6088
S 7.8176 6.9471 1.5815


Entry 9:
37
Lattice="19.6300 -1.9795 0.0000 19.6300 1.9795 0.0000 -0.3214 0.0000 11.4032" Properties=species:S:1:pos:R:3 comment="PBE-GGA Ce4Y11S22, optimized geometry" sg="C2/m (12)" formation_energy_mev_per_atom=-2339 m_tot_mub_per_cell=4.5 final_energy_ev_per_fu=-261.324 pbc="T T T"
Ce 4.0958 0.0000 0.1305
Ce 14.3025 0.0000 3.9664
Ce 24.6361 0.0000 7.4367
Ce 34.8428 0.0000 11.2726
Y 0.0000 0.0000 0.0000
Y 2.6168 0.0000 4.1140
Y 7.6317 0.0000 10.7335
Y 10.2232 0.0000 4.0070
Y 13.2151 0.0000 7.9746
Y 18.0444 0.0000 3.0838
Y 20.8942 0.0000 8.3194
Y 25.7235 0.0000 3.4285
Y 28.7154 0.0000 7.3962
Y 31.3070 0.0000 0.6697
Y 36.3218 0.0000 7.2892
S 0.2297 0.0000 2.7382
S 3.2135 0.0000 8.5737
S 5.1546 0.0000 5.1781
S 6.5693 0.0000 1.7181
S 7.1982 0.0000 7.8737
S 9.9729 0.0000 1.3558
S 10.8095 0.0000 6.7147
S 13.7437 0.0000 1.0455
S 15.7310 0.0000 8.9959
S 17.2992 0.0000 5.6259
S 17.7598 0.0000 0.3493
S 21.1788 0.0000 11.0538
S 21.6394 0.0000 5.7773
S 23.2076 0.0000 2.4072
S 25.1949 0.0000 10.3577
S 28.1291 0.0000 4.6885
S 28.9657 0.0000 10.0474
S 31.7404 0.0000 3.5294
S 32.3693 0.0000 9.6851
S 33.7840 0.0000 6.2250
S 35.7251 0.0000 2.8295
S 38.7089 0.0000 8.6650


Entry 10:
20
Lattice="11.0862 0.0000 0.0000 0.0000 3.9832 0.0000 -3.6752 0.0000 10.7625" Properties=species:S:1:pos:R:3 comment="PBE-GGA CeY3S6, optimized geometry" sg="P2_1/m (11)" formation_energy_mev_per_atom=-2370 final_energy_ev_per_fu=-70.836 pbc="T T T"
Ce -0.1706 0.9958 2.0821
Ce 7.5816 2.9874 8.6804
Y -0.3817 0.9958 6.3065
Y -0.1319 2.9874 10.7569
Y 3.6745 0.9958 3.5802
Y 3.7365 2.9874 7.1823
Y 7.5429 0.9958 0.0057
Y 7.7927 2.9874 4.4560
S -0.5682 2.9874 4.3488
S -2.2588 0.9958 10.3578
S -0.6074 2.9874 8.0774
S 2.0796 2.9874 2.4560
S 2.3148 0.9958 5.9985
S 4.9017 0.9958 1.2058
S 2.5093 2.9874 9.5567
S 5.0962 2.9874 4.7640
S 5.3314 0.9958 8.3066
S 8.0184 0.9958 2.6852
S 9.6698 2.9874 0.4047
S 7.9791 0.9958 6.4137


Entry 11:
32
Lattice="11.6563 0.0000 0.0000 0.0000 7.9544 0.0000 0.0000 0.0000 7.3720" Properties=species:S:1:pos:R:3 comment="PBE-GGA Ce2ZrS5, optimized geometry" sg="Pnma (62)" formation_energy_mev_per_atom=-2175 final_energy_ev_per_fu=-55.984 pbc="T T T"
Ce 2.0683 0.0086 0.2140
Ce 2.0683 3.9686 0.2140
Ce 3.7599 3.9858 3.9001
Ce 3.7599 7.9459 3.9001
Ce 7.8964 0.0086 3.4720
Ce 7.8964 3.9686 3.4720
Ce 9.5880 3.9858 7.1580
Ce 9.5880 7.9459 7.1580
Zr 0.0780 5.9658 4.2644
Zr 5.7501 1.9886 0.5784
Zr 5.9061 5.9658 6.7936
Zr 11.5782 1.9886 3.1076
S 0.0467 5.9658 6.9841
S 1.0277 0.2973 4.8877
S 1.0277 3.6799 4.8877
S 2.1357 5.9658 2.4984
S 2.4199 1.9886 2.3128
S 3.4082 5.9658 5.9988
S 3.6925 1.9886 6.1844
S 4.8005 4.2745 1.2017
S 4.8005 7.6571 1.2017
S 5.7814 1.9886 3.2981
S 5.8748 5.9658 4.0739
S 6.8558 0.2973 6.1703
S 6.8558 3.6799 6.1703
S 7.9638 5.9658 1.1876
S 8.2480 1.9886 1.3732
S 9.2364 5.9658 5.0593
S 9.5206 1.9886 4.8736
S 10.6286 4.2745 2.4843
S 10.6286 7.6571 2.4843
S 11.6095 1.9886 0.3879


Entry 12:
2
Lattice="4.0719 0.0000 0.0000 0.0000 4.0719 0.0000 0.0000 0.0000 3.3793" Properties=species:S:1:pos:R:3 comment="PBE-GGA CeSb, optimized geometry" sg="P4/mmm (123)" formation_energy_mev_per_atom=-961 m_tot_mub_per_cell=1.0 final_energy_ev_per_fu=-11.791 pbc="T T T"
Ce 0.0000 0.0000 0.0000
Sb 2.0359 2.0359 1.6896


Entry 13:
4
Lattice="4.7655 0.0000 0.0000 0.0000 4.7655 0.0000 0.0000 0.0000 4.7655" Properties=species:S:1:pos:R:3 comment="PBE-GGA CeSb3, optimized geometry" sg="Pm-3m (221)" formation_energy_mev_per_atom=-698 final_energy_ev_per_fu=-20.536 pbc="T T T"
Ce 0.0000 0.0000 0.0000
Sb 0.0000 2.3828 2.3828
Sb 2.3828 0.0000 2.3828
Sb 2.3828 2.3828 0.0000


Entry 14:
8
Lattice="6.3703 0.0000 0.0000 0.0000 6.3703 0.0000 0.0000 0.0000 6.3703" Properties=species:S:1:pos:R:3 comment="PBE-GGA CeSb, optimized geometry" sg="Fm-3m (225)" formation_energy_mev_per_atom=-1154 final_energy_ev_per_fu=-12.179 pbc="T T T"
Ce 0.0000 0.0000 0.0000
Ce 0.0000 3.1851 3.1851
Ce 3.1851 0.0000 3.1851
Ce 3.1851 3.1851 0.0000
Sb 0.0000 0.0000 3.1851
Sb 0.0000 3.1851 0.0000
Sb 3.1851 0.0000 0.0000
Sb 3.1851 3.1851 3.1851